# Zr4N2O5

An optimized crystal structure of Zr4N2O5 (GGA-PBE, the Materials Project database).

Properties
The calculation puts the total energy at -9.63 eV per atom. For the total energy after the MP2020 corrections, the calculation gives -9.94 eV per atom. The calculation puts the formation energy at -33.75 eV per formula unit.

Geometry as extended XYZ:
```
44
Lattice="-5.1630 5.1630 5.1025 5.1630 -5.1630 5.1025 5.1630 5.1630 -5.1025" Properties=species:S:1:pos:R:3 pbc="T T T"
Zr 0.0000 0.0000 0.0148
O 1.5422 1.2079 3.9143
O -1.0729 1.4099 1.3153
Zr 4.8489 2.6408 -2.5225
Zr 2.6408 4.8489 2.5799
O 1.0729 8.9161 1.3154
N 1.1379 4.0251 4.0074
N 6.5725 1.4095 1.1674
O -1.2640 3.8990 1.8492
Zr 5.1630 0.0000 0.3729
O 3.8990 1.2640 1.8492
Zr 2.3584 2.8046 5.3607
O 6.3709 3.6209 -1.1882
O -3.6209 3.9551 3.9143
O 6.4270 -1.2640 1.8492
O 1.0729 1.4099 6.4178
O 1.2079 1.5422 -1.1882
O -1.2079 1.5421 3.9143
Zr 0.0000 0.0000 5.1172
Zr 2.5222 0.3141 7.6824
Zr 5.4771 2.6408 2.5799
Zr -0.3141 2.5222 7.6824
N 1.1379 6.3009 -1.0950
Zr 2.5222 -0.3141 2.5799
O 4.0901 3.7531 1.3154
O 8.7839 1.2079 -1.1882
Zr 0.0000 5.1630 0.3729
O 1.2640 6.4270 1.8492
Zr 0.3141 2.5222 2.5799
Zr 2.8046 2.3584 0.2582
N 3.7535 1.4095 6.2699
N 4.0251 1.1379 -1.0950
O 3.9551 3.6208 3.9143
N 1.4095 3.7535 1.1674
O 8.9161 -1.0729 1.3154
Zr 2.8046 -2.3584 5.3607
Zr 2.3584 7.5214 0.2582
O 3.6208 3.9551 -1.1882
N 4.0251 -1.1379 4.0074
O 3.7531 6.2359 1.3154
Zr 2.6408 5.4771 -2.5225
O 1.4099 1.0729 1.3153
O 1.4099 -1.0729 6.4178
N -1.4095 3.7535 6.2699
```

# Zr4N2O5

An optimized crystal structure of Zr4N2O5 (GGA-PBE, the Materials Project database).

Properties
The calculation puts the total energy at -9.62 eV per atom. For the total energy after the MP2020 corrections, the calculation gives -9.94 eV per atom. The calculation puts the formation energy at -33.69 eV per formula unit.

Geometry as extended XYZ:
```
44
Lattice="-8.3167 -0.2089 -3.0899 2.6493 -8.2880 1.8557 0.3007 4.9219 7.4163" Properties=species:S:1:pos:R:3 pbc="T T T"
N -7.3985 0.2759 0.9571
Zr 1.1752 -1.4291 4.8333
N -2.2605 -6.0540 -0.1913
Zr -5.0676 -0.5764 4.0578
Zr -7.4916 1.6334 2.6732
O 2.6270 -6.8597 3.5818
Zr -7.9956 4.6681 4.3357
Zr -2.0336 3.4720 5.1102
O -1.2660 -0.7738 1.6742
O -2.0005 -3.7793 3.7866
O -3.9976 3.4062 4.1126
N -1.4074 1.4580 5.4582
Zr -4.0500 -3.7085 2.9742
O 1.3706 -2.7165 3.0528
O 0.4067 -2.3388 0.4713
O -3.3612 -5.7554 3.1378
O -3.2954 0.3222 2.9081
Zr -0.7044 -2.7901 2.3596
O 2.1423 -1.4391 8.6681
Zr -3.1739 -4.0989 -0.4835
O -3.8824 -2.3489 4.7461
Zr -3.6877 -6.8725 1.2835
O -4.2990 0.8980 0.4192
Zr 1.8984 -4.9832 2.9491
Zr -0.2831 -6.4575 0.7534
N -0.2023 -4.9656 2.2835
Zr -1.1502 0.6120 3.4030
N -5.5256 -4.5988 4.1908
N -4.6557 0.5212 5.8733
O -2.5668 -3.0106 1.2982
O 1.0831 -0.2582 6.6663
N -6.3180 -0.2817 -2.0820
Zr -5.4563 2.5447 5.4096
Zr -1.3337 -5.8509 3.9712
O 0.1780 -2.7507 6.1987
O -2.2064 -0.1503 -0.5898
Zr -2.0188 -2.7828 5.7441
O 0.8160 -5.5540 4.8296
N -5.0405 -1.8289 2.2062
O -4.5979 -4.8059 1.1180
O -3.9424 -1.9931 -0.7745
O -0.9605 -1.4793 4.1242
Zr -3.3574 -0.9202 1.0706
O -5.5178 1.4848 3.5221
```

# Zr7N4O8

An optimized crystal structure of Zr7N4O8 (GGA-PBE, the Materials Project database).

Properties
The calculation puts the total energy at -9.64 eV per atom. For the total energy after the MP2020 corrections, the calculation gives -9.93 eV per atom. The calculation puts the formation energy at -55.92 eV per formula unit.

Geometry as extended XYZ:
```
19
Lattice="6.2744 0.0000 0.0000 -1.0107 6.2148 0.0000 -1.0250 -1.2556 6.1591" Properties=species:S:1:pos:R:3 pbc="T T T"
Zr 6.2231 0.0400 0.0815
O -1.1698 3.1807 5.4573
Zr 0.9119 3.2579 5.3608
O 1.8910 3.3811 1.1225
O 0.9824 -0.5587 5.6856
Zr 4.2732 1.4901 4.3321
O 4.1118 2.9909 2.6619
Zr -0.0908 3.3286 1.9576
N 5.4714 2.0122 0.4354
O 4.9497 -0.4956 4.1998
Zr 3.4206 1.6325 0.8840
N 3.0151 0.5599 2.6798
O 2.3160 1.6942 5.0762
N -0.8016 5.3284 1.9997
O 1.2655 4.2904 3.5737
Zr 1.2187 0.0462 3.6481
Zr 3.1528 4.9084 2.3586
O 0.0767 1.8370 3.5310
N 3.2042 5.7061 0.3873
```

# Zr3N2O3

An optimized crystal structure of Zr3N2O3 (GGA-PBE, the Materials Project database).

Properties
The calculation puts the total energy at -9.67 eV per atom. For the total energy after the MP2020 corrections, the calculation gives -9.93 eV per atom. The calculation puts the formation energy at -22.27 eV per formula unit. As for the piezoelectric modulus e_max: 0.674 C/m².

Geometry as extended XYZ:
```
16
Lattice="2.0266 5.4047 0.0000 -2.0266 5.4047 0.0000 0.0000 0.0931 10.8217" Properties=species:S:1:pos:R:3 pbc="T T T"
Zr 0.0000 9.3283 10.1802
O 0.0000 8.2155 8.1273
O 0.0000 0.5497 9.5656
N 0.0000 3.2949 9.9498
Zr 0.0000 8.8315 2.6857
N 0.0000 10.3277 4.1586
Zr 0.0000 2.1443 8.1000
O 0.0000 2.6553 2.7722
O 0.0000 7.4935 4.5392
Zr 0.0000 9.3725 6.0057
N 0.0000 7.5832 0.8415
Zr 0.0000 1.5408 0.5889
O 0.0000 0.5112 6.6988
O 0.0000 10.3204 1.2196
N 0.0000 3.2336 6.2148
Zr 0.0000 1.4975 4.7613
```

# Zr3N2O3

An optimized crystal structure of Zr3N2O3 (GGA-PBE, the Materials Project database).

Properties
The calculation puts the total energy at -9.70 eV per atom. For the total energy after the MP2020 corrections, the calculation gives -9.96 eV per atom. The calculation puts the formation energy at -22.52 eV per formula unit. As for the piezoelectric modulus e_max: 0.511 C/m².

Geometry as extended XYZ:
```
16
Lattice="2.0471 5.3502 0.0000 -2.0471 5.3502 0.0000 0.0000 0.0629 10.7483" Properties=species:S:1:pos:R:3 pbc="T T T"
Zr 0.0000 9.1972 10.0723
N 0.0000 3.2487 9.9488
N 0.0000 7.4748 0.8661
Zr 0.0000 1.4985 4.7014
N 0.0000 7.5305 4.5846
O 0.0000 3.2995 6.1403
O 0.0000 0.5304 9.5009
O 0.0000 10.2643 4.0996
O 0.0000 0.5338 6.5885
O 0.0000 10.2217 1.2605
Zr 0.0000 2.1132 8.1293
Zr 0.0000 8.6474 2.6678
Zr 0.0000 9.1888 6.0797
O 0.0000 2.6158 2.7098
N 0.0000 8.2237 8.0050
Zr 0.0000 1.5192 0.6321
```

# Zr4N2O5

An optimized crystal structure of Zr4N2O5 (GGA-PBE, the Materials Project database).

Properties
The calculation puts the total energy at -9.61 eV per atom. For the total energy after the MP2020 corrections, the calculation gives -9.93 eV per atom. The calculation puts the formation energy at -33.59 eV per formula unit.

Geometry as extended XYZ:
```
44
Lattice="-8.3574 -2.4654 -1.7926 4.1833 -6.5593 4.3155 -0.1038 7.2989 5.1035" Properties=species:S:1:pos:R:3 pbc="T T T"
N -2.0469 2.8883 2.2047
N -5.3875 -3.4896 3.8399
O 1.9358 2.1880 6.1284
O -0.9453 3.2309 4.6154
N -7.2332 -3.9701 -0.5049
Zr -3.3364 -2.7711 4.2325
Zr -1.8898 4.7886 3.3381
O -2.9280 -4.8893 3.3788
O -7.0602 0.0103 1.7276
Zr 1.0501 -5.2765 3.0570
O -1.3118 -0.2194 1.9521
N -0.0399 -5.7311 4.8515
Zr -5.1860 3.8530 4.5372
Zr -1.2514 -0.6764 5.9078
Zr -2.1849 -4.4894 1.2231
O -3.1235 4.3955 5.0993
O -5.2491 -1.8307 0.9116
O 3.1255 -4.7877 3.4171
Zr -3.1105 -1.0356 1.1021
O -5.1573 2.0361 3.3073
O -0.9070 1.1042 7.2590
Zr -0.2525 -1.9186 2.9758
Zr -6.1654 -1.7770 2.8323
O 0.1416 -1.9075 7.0664
O 1.2146 -3.2224 4.0128
O -2.1067 -1.0646 7.8731
Zr -1.9005 -6.6500 4.0338
O -2.2979 1.0296 4.8330
N 2.0159 0.1564 8.6883
Zr 0.9491 3.9818 5.2299
Zr -5.0549 -5.5319 2.9383
Zr 0.1494 -3.7809 5.8287
O -3.9262 -3.6443 6.2652
O -0.0777 -3.7870 1.8815
N -1.2788 -2.5415 4.8475
O -4.0803 -0.9586 3.2077
Zr -0.7113 1.5536 3.2394
O -2.2693 -2.6063 2.3589
O -3.4045 -1.1698 5.6972
N 0.2433 -0.1312 4.3277
O -8.1593 -0.6940 -0.4974
N -4.3197 -4.9148 0.9241
Zr -0.0118 -0.0466 0.0167
Zr -4.3948 0.5405 4.8838
```

# Zr3N2O3

An optimized crystal structure of Zr3N2O3 (GGA-PBE, the Materials Project database).

Properties
The calculation puts the total energy at -9.64 eV per atom. For the total energy after the MP2020 corrections, the calculation gives -9.90 eV per atom. The calculation puts the formation energy at -22.02 eV per formula unit. As for the piezoelectric modulus e_max: 0.961 C/m².

Geometry as extended XYZ:
```
16
Lattice="2.0051 -5.4183 0.0000 2.0051 5.4183 0.0000 0.0000 0.0000 10.8921" Properties=species:S:1:pos:R:3 pbc="T T T"
N 2.0051 2.2250 0.8237
N 2.0051 4.9090 4.1956
Zr 2.0051 -3.9431 4.7905
O 2.0051 2.0888 4.5711
Zr 2.0051 3.9431 10.2366
Zr 2.0051 -3.4003 8.1571
Zr 2.0051 -3.9495 0.5861
O 2.0051 -4.9323 6.7207
Zr 2.0051 3.4003 2.7110
O 2.0051 -2.7791 2.8316
O 2.0051 -2.0888 10.0172
Zr 2.0051 3.9495 6.0321
O 2.0051 2.7791 8.2777
O 2.0051 4.9323 1.2746
N 2.0051 -4.9090 9.6417
N 2.0051 -2.2250 6.2698
```

# Os3Pb3N5

An optimized crystal structure of Os3Pb3N5 (GGA-PBE, the Materials Project database).

Properties
The calculation puts the total energy at -7.29 eV per atom. For the total energy after the MP2020 corrections, the calculation gives -7.45 eV per atom. The calculation puts the formation energy at 4.53 eV per formula unit.

Geometry as extended XYZ:
```
22
Lattice="6.1880 0.4139 0.5458 -0.1706 7.5557 0.7422 -1.6456 -2.4639 7.9010" Properties=species:S:1:pos:R:3 pbc="T T T"
Os 2.8998 5.9969 5.8650
Os -0.8150 5.3323 6.2596
Pb 0.6015 2.9789 3.6685
N 0.9700 5.8555 5.7152
Os 0.3860 5.2626 0.8656
N 4.5519 2.0621 7.6157
N 4.5200 4.9015 5.3209
N -0.1482 0.6042 3.8680
N -0.7132 4.2487 7.7018
Pb 3.7703 2.5268 5.5205
N -0.1801 3.4436 1.5733
N 3.4018 -0.3498 3.4737
N 0.3784 6.1693 2.5668
Pb 0.7537 1.2418 6.9410
Pb 2.2657 4.2088 8.1895
Pb 3.6181 4.2638 2.2479
Os 5.1868 0.1734 2.9294
Os 3.9858 0.2431 8.3233
N 5.0850 1.2570 1.4872
Os 1.4719 -0.4912 3.3240
N 3.9933 -0.6637 6.6222
Pb 2.1060 1.2968 0.9994
```

# SnOsN

An optimized crystal structure of SnOsN (GGA-PBE, the Materials Project database).

Properties
The calculation puts the total energy at -7.40 eV per atom. For the total energy after the MP2020 corrections, the calculation gives -7.52 eV per atom. The calculation puts the formation energy at 1.02 eV per formula unit.

Geometry as extended XYZ:
```
6
Lattice="3.2056 0.0000 0.0000 -1.6028 2.7643 0.0000 0.0000 0.0000 13.2717" Properties=species:S:1:pos:R:3 pbc="T T T"
Sn 0.0000 0.0074 5.5135
N 1.6028 0.9067 2.5730
N 0.0000 1.8575 9.2088
Os 0.0000 1.8198 3.1233
Os 1.6028 0.9445 9.7592
Sn 1.6028 2.7569 12.1494
```

# Sr3Os2N4

An optimized crystal structure of Sr3Os2N4 (GGA-PBE, the Materials Project database).

Properties
The calculation puts the total energy at -6.92 eV per atom. For the total energy after the MP2020 corrections, the calculation gives -7.08 eV per atom. The calculation puts the formation energy at -2.87 eV per formula unit.

Geometry as extended XYZ:
```
18
Lattice="7.3156 -0.0653 -0.1391 -5.6203 7.1821 0.0000 -0.2018 -0.1579 5.6346" Properties=species:S:1:pos:R:3 pbc="T T T"
N 0.0494 2.1324 0.1136
N 1.4442 4.8265 5.3819
Sr 1.2455 5.2367 2.5055
Os 1.8944 3.0485 0.4303
Os -1.8200 5.9319 2.2479
N 3.0880 1.7872 5.0411
Sr 5.2817 -0.1289 5.3228
Sr 0.2481 1.7222 2.9900
Os -0.4008 3.9105 5.0652
N -1.0844 4.3122 3.2716
N -3.6395 6.6385 2.9309
Sr -3.7881 7.0878 0.1727
N 5.1331 0.3204 2.5646
Sr -3.5129 4.1772 4.2259
N 2.5780 2.6467 2.2239
Sr -2.3092 2.8469 1.4086
N -1.5944 5.1718 0.4543
Os 3.3136 1.0270 3.2476
```

# Sr3Os2N4

An optimized crystal structure of Sr3Os2N4 (GGA-PBE, the Materials Project database).

Properties
The calculation puts the total energy at -7.02 eV per atom. For the total energy after the MP2020 corrections, the calculation gives -7.18 eV per atom. The calculation puts the formation energy at -3.76 eV per formula unit.

Geometry as extended XYZ:
```
36
Lattice="-6.0112 -1.9104 0.2353 2.7969 -9.2746 -3.8480 1.3301 -3.1355 8.5241" Properties=species:S:1:pos:R:3 pbc="T T T"
Sr -0.2963 -3.3217 7.7907
Sr 1.4124 -6.3410 6.5707
N -1.0744 -5.2055 1.6523
N -5.2238 -3.7892 2.4684
Sr -3.2966 -7.9795 -1.6593
Sr 0.6843 -6.9741 3.1891
Os -0.1471 -3.4772 1.2152
Sr -4.3848 -1.7242 0.9686
N -3.6648 -7.1397 4.4312
N -0.1761 -10.2840 -0.7083
N -0.7228 -7.1552 5.4705
Os -3.5064 -3.7949 6.5979
Sr -2.5685 -7.3465 1.7223
N 3.3396 -10.5313 2.4430
N -1.7081 -4.0365 5.6197
Sr -2.3054 -10.8252 0.5588
N 2.1360 -8.5988 -1.9532
Sr -2.7184 -4.6438 -0.5225
Sr 0.4212 -3.4954 4.3525
N -4.0202 -5.7217 6.8646
N -1.9294 -2.6100 0.8841
Os -2.4877 -6.0001 5.5949
Sr -2.7893 -3.9675 3.1569
N 0.0452 -11.7106 4.0273
N -0.8098 -9.1150 3.2591
Sr 0.9051 -10.3530 1.7545
N 2.6642 -8.1432 4.5785
Os -1.7371 -10.8433 3.6962
Os 0.6035 -8.3204 -0.6835
N -4.5484 -6.1773 0.3329
Os -1.1747 -1.2510 2.1615
Sr 0.8342 -9.6768 5.4339
Os -2.1168 -8.4113 4.6172
N -1.1614 -7.1654 -0.5591
N 1.7806 -7.1809 0.4802
Os 0.2326 -5.9092 0.2942
```

# SrOsN2

An optimized crystal structure of SrOsN2 (GGA-PBE, the Materials Project database).

Properties
The calculation puts the total energy at -7.56 eV per atom. For the total energy after the MP2020 corrections, the calculation gives -7.74 eV per atom. The calculation puts the formation energy at -1.36 eV per formula unit.

Geometry as extended XYZ:
```
16
Lattice="6.4550 0.0000 0.3905 0.0000 7.7510 0.0000 -2.0138 0.0000 4.7877" Properties=species:S:1:pos:R:3 pbc="T T T"
N 3.2582 6.2187 2.9939
N 3.4050 0.7037 4.6229
Os 0.7268 1.2705 0.2288
Os 3.7145 6.4805 4.9494
Sr 0.7683 7.0013 3.3153
N 4.4119 3.1718 2.2291
N 1.1830 1.5323 2.1843
N 4.2651 5.4078 0.6001
Os -0.2801 2.6050 2.6227
N 1.0362 7.0473 0.5553
Sr 3.6730 0.7497 1.8629
Sr 2.6661 3.1258 4.2567
Os 4.7213 5.1460 2.5555
Sr 1.7752 4.6252 0.9215
N 0.1762 2.3432 4.5781
N 0.0293 4.5792 2.9491
```